1.
DFT (PBE with a Hubbard U) results for a relaxed Co2P2H4PbO10 crystal.

E_form = -36.21 eV per formula unit

The structure in CIF format:
```
data_Co2P2H4PbO10
_space_group_name_H-M_alt 'P 1'
_space_group_IT_number 1
_cell_length_a 7.5739
_cell_length_b 6.3790
_cell_length_c 9.0429
_cell_angle_alpha 90.00
_cell_angle_beta 114.39
_cell_angle_gamma 90.00
loop_
_space_group_symop_operation_xyz
'x,y,z'
loop_
_atom_site_label
_atom_site_fract_x
_atom_site_fract_y
_atom_site_fract_z
Co1 0.0000 0.0000 0.0000
Co2 0.0000 0.0000 0.5000
Co3 0.0000 0.5000 0.0000
Co4 0.0000 0.5000 0.5000
P1 0.2687 0.2500 0.3224
P2 0.2894 0.7500 0.8381
P3 0.7106 0.2500 0.1619
P4 0.7313 0.7500 0.6776
H1 0.0505 0.2500 0.7834
H2 0.1887 0.7500 0.3953
H3 0.2501 0.2500 0.9636
H4 0.4215 0.7500 0.6239
H5 0.5785 0.2500 0.3761
H6 0.7499 0.7500 0.0364
H7 0.8113 0.2500 0.6047
H8 0.9495 0.7500 0.2166
Pb1 0.4902 0.2500 0.7671
Pb2 0.5098 0.7500 0.2329
O1 0.0581 0.7500 0.3913
O2 0.1050 0.2500 0.9119
O3 0.1603 0.7500 0.9366
O4 0.1757 0.2500 0.4459
O5 0.2296 0.0472 0.2213
O6 0.2296 0.4528 0.2213
O7 0.2513 0.5531 0.7258
O8 0.2513 0.9469 0.7258
O9 0.4964 0.2500 0.0349
O10 0.4991 0.2500 0.4391
O11 0.5009 0.7500 0.5609
O12 0.5036 0.7500 0.9651
O13 0.7487 0.0531 0.2742
O14 0.7487 0.4469 0.2742
O15 0.7704 0.5472 0.7787
O16 0.7704 0.9528 0.7787
O17 0.8243 0.7500 0.5541
O18 0.8397 0.2500 0.0634
O19 0.8950 0.7500 0.0881
O20 0.9419 0.2500 0.6087
```

---

2.
DFT (PBE with a Hubbard U) results for a relaxed YSbMo2O9 crystal.

E_form = -30.82 eV per formula unit

The structure in CIF format:
```
data_YSbMo2O9
_space_group_name_H-M_alt 'P 1'
_space_group_IT_number 1
_cell_length_a 9.7281
_cell_length_b 9.7281
_cell_length_c 10.8735
_cell_angle_alpha 111.85
_cell_angle_beta 111.85
_cell_angle_gamma 95.45
loop_
_space_group_symop_operation_xyz
'x,y,z'
loop_
_atom_site_label
_atom_site_fract_x
_atom_site_fract_y
_atom_site_fract_z
Y1 0.1258 0.8742 0.7500
Y2 0.3281 0.6719 0.2500
Y3 0.6719 0.3281 0.7500
Y4 0.8742 0.1258 0.2500
Sb1 0.3495 0.3800 0.4642
Sb2 0.3800 0.3495 0.9642
Sb3 0.6200 0.6505 0.0358
Sb4 0.6505 0.6200 0.5358
Mo1 0.0464 0.2591 0.0251
Mo2 0.0581 0.4340 0.6931
Mo3 0.2591 0.0464 0.5251
Mo4 0.4340 0.0581 0.1931
Mo5 0.5660 0.9419 0.8069
Mo6 0.7409 0.9536 0.4749
Mo7 0.9419 0.5660 0.3069
Mo8 0.9536 0.7409 0.9749
O1 0.0199 0.6934 0.4979
O2 0.0425 0.2212 0.1736
O3 0.0671 0.0955 0.8980
O4 0.0935 0.5573 0.2520
O5 0.0955 0.0671 0.3980
O6 0.1290 0.7019 0.0683
O7 0.1447 0.6209 0.7272
O8 0.2087 0.3641 0.7973
O9 0.2212 0.0425 0.6736
O10 0.2214 0.4056 0.0793
O11 0.2981 0.8710 0.4317
O12 0.3066 0.9801 0.0021
O13 0.3641 0.2087 0.2973
O14 0.3790 0.8553 0.7728
O15 0.4056 0.2214 0.5793
O16 0.4231 0.5419 0.4004
O17 0.4427 0.9065 0.2480
O18 0.4581 0.5769 0.0996
O19 0.5419 0.4231 0.9004
O20 0.5573 0.0935 0.7520
O21 0.5769 0.4581 0.5996
O22 0.5944 0.7786 0.4207
O23 0.6210 0.1447 0.2272
O24 0.6359 0.7913 0.7027
O25 0.6934 0.0199 0.9979
O26 0.7019 0.1290 0.5683
O27 0.7786 0.5944 0.9207
O28 0.7788 0.9575 0.3264
O29 0.7913 0.6359 0.2027
O30 0.8553 0.3791 0.2728
O31 0.8710 0.2981 0.9317
O32 0.9045 0.9329 0.6020
O33 0.9065 0.4427 0.7480
O34 0.9329 0.9045 0.1020
O35 0.9575 0.7788 0.8264
O36 0.9801 0.3066 0.5021
```

---

3.
DFT (PBE with a Hubbard U) results for a relaxed SrCrF4 crystal.

E_form = -20.50 eV per formula unit

The structure in CIF format:
```
data_SrCrF4
_space_group_name_H-M_alt 'P 1'
_space_group_IT_number 1
_cell_length_a 6.9621
_cell_length_b 6.9621
_cell_length_c 6.9621
_cell_angle_alpha 133.11
_cell_angle_beta 130.13
_cell_angle_gamma 70.86
loop_
_space_group_symop_operation_xyz
'x,y,z'
loop_
_atom_site_label
_atom_site_fract_x
_atom_site_fract_y
_atom_site_fract_z
Sr1 0.0000 0.0000 0.0000
Sr2 0.5000 0.5000 0.0000
Cr1 0.2500 0.7500 0.5000
Cr2 0.7500 0.2500 0.5000
F1 0.0741 0.5480 0.8773
F2 0.1707 0.0480 0.4739
F3 0.3293 0.8032 0.8773
F4 0.4259 0.3032 0.4739
F5 0.5741 0.6968 0.5261
F6 0.6707 0.1968 0.1227
F7 0.8293 0.9520 0.5261
F8 0.9259 0.4520 0.1227
```

---

Please write out number 2 again, unchanged.
DFT (PBE with a Hubbard U) results for a relaxed YSbMo2O9 crystal.

E_form = -30.82 eV per formula unit

The structure in CIF format:
```
data_YSbMo2O9
_space_group_name_H-M_alt 'P 1'
_space_group_IT_number 1
_cell_length_a 9.7281
_cell_length_b 9.7281
_cell_length_c 10.8735
_cell_angle_alpha 111.85
_cell_angle_beta 111.85
_cell_angle_gamma 95.45
loop_
_space_group_symop_operation_xyz
'x,y,z'
loop_
_atom_site_label
_atom_site_fract_x
_atom_site_fract_y
_atom_site_fract_z
Y1 0.1258 0.8742 0.7500
Y2 0.3281 0.6719 0.2500
Y3 0.6719 0.3281 0.7500
Y4 0.8742 0.1258 0.2500
Sb1 0.3495 0.3800 0.4642
Sb2 0.3800 0.3495 0.9642
Sb3 0.6200 0.6505 0.0358
Sb4 0.6505 0.6200 0.5358
Mo1 0.0464 0.2591 0.0251
Mo2 0.0581 0.4340 0.6931
Mo3 0.2591 0.0464 0.5251
Mo4 0.4340 0.0581 0.1931
Mo5 0.5660 0.9419 0.8069
Mo6 0.7409 0.9536 0.4749
Mo7 0.9419 0.5660 0.3069
Mo8 0.9536 0.7409 0.9749
O1 0.0199 0.6934 0.4979
O2 0.0425 0.2212 0.1736
O3 0.0671 0.0955 0.8980
O4 0.0935 0.5573 0.2520
O5 0.0955 0.0671 0.3980
O6 0.1290 0.7019 0.0683
O7 0.1447 0.6209 0.7272
O8 0.2087 0.3641 0.7973
O9 0.2212 0.0425 0.6736
O10 0.2214 0.4056 0.0793
O11 0.2981 0.8710 0.4317
O12 0.3066 0.9801 0.0021
O13 0.3641 0.2087 0.2973
O14 0.3790 0.8553 0.7728
O15 0.4056 0.2214 0.5793
O16 0.4231 0.5419 0.4004
O17 0.4427 0.9065 0.2480
O18 0.4581 0.5769 0.0996
O19 0.5419 0.4231 0.9004
O20 0.5573 0.0935 0.7520
O21 0.5769 0.4581 0.5996
O22 0.5944 0.7786 0.4207
O23 0.6210 0.1447 0.2272
O24 0.6359 0.7913 0.7027
O25 0.6934 0.0199 0.9979
O26 0.7019 0.1290 0.5683
O27 0.7786 0.5944 0.9207
O28 0.7788 0.9575 0.3264
O29 0.7913 0.6359 0.2027
O30 0.8553 0.3791 0.2728
O31 0.8710 0.2981 0.9317
O32 0.9045 0.9329 0.6020
O33 0.9065 0.4427 0.7480
O34 0.9329 0.9045 0.1020
O35 0.9575 0.7788 0.8264
O36 0.9801 0.3066 0.5021
```

---

> Which value of E_form does entry 2 give?

-30.82 eV per formula unit

---

> Number 1 is which compound?

Co2P2H4PbO10